Li9Co7O16 | PBE with a Hubbard U | optimized geometry

```
Li9Co7O16
1.0
2.924 0.000 0.000
0.000 9.871 0.000
0.000 1.830 9.912
Co Li O
7 9 16
Direct
0.500 0.000 0.500 Co
0.000 0.500 0.000 Co
0.000 0.002 0.239 Co
0.500 0.502 0.249 Co
0.000 0.500 0.500 Co
0.000 0.998 0.761 Co
0.500 0.498 0.751 Co
0.000 0.252 0.374 Li
0.000 0.748 0.626 Li
0.500 0.752 0.374 Li
0.500 0.247 0.126 Li
0.000 0.755 0.122 Li
0.500 0.248 0.626 Li
0.000 0.245 0.878 Li
0.500 0.753 0.874 Li
0.500 0.000 0.000 Li
0.500 0.885 0.195 O
0.000 0.110 0.570 O
0.500 0.115 0.805 O
0.500 0.888 0.684 O
0.500 0.382 0.939 O
0.000 0.384 0.686 O
0.000 0.614 0.815 O
0.000 0.890 0.430 O
0.000 0.113 0.083 O
0.500 0.618 0.061 O
0.000 0.616 0.314 O
0.500 0.384 0.438 O
0.500 0.616 0.562 O
0.500 0.112 0.316 O
0.000 0.386 0.185 O
0.000 0.887 0.917 O
```

## Properties
ΔE to the lowest computed polymorph (eV per atom): 0.0633

=====

Li9Mn2Co5O16 | PBE with a Hubbard U | optimized geometry

```
Li9Mn2Co5O16
1.0
-2.603 1.502 -0.349
-5.437 -8.256 0.694
-3.176 -0.586 9.689
O Co Li Mn
16 5 9 2
Direct
0.941 0.026 0.182 O
0.735 0.105 0.568 O
0.208 0.275 0.682 O
0.668 0.780 0.670 O
0.190 0.605 0.559 O
0.051 0.643 0.942 O
0.401 0.523 0.176 O
0.056 0.977 0.813 O
0.935 0.353 0.068 O
0.582 0.468 0.833 O
0.808 0.725 0.326 O
0.308 0.896 0.436 O
0.777 0.401 0.429 O
0.565 0.149 0.928 O
0.433 0.849 0.069 O
0.348 0.225 0.318 O
0.735 0.743 0.513 Co
0.505 0.506 0.991 Co
0.246 0.251 0.500 Co
0.634 0.126 0.747 Co
0.874 0.376 0.248 Co
0.067 0.314 0.876 Li
0.810 0.063 0.376 Li
0.441 0.189 0.126 Li
0.308 0.562 0.378 Li
0.183 0.936 0.623 Li
0.940 0.685 0.123 Li
0.685 0.443 0.626 Li
0.125 0.624 0.751 Li
0.565 0.806 0.873 Li
0.370 0.874 0.254 Mn
0.004 0.001 0.997 Mn
```

## Properties
ΔE to the lowest computed polymorph (eV per atom): 0.0766

=====

NdEuMnCrO6 | PBE with a Hubbard U | optimized geometry

```
NdEuMnCrO6
1.0
8.884 0.000 0.000
0.000 8.692 0.000
0.000 0.000 8.923
O Eu Mn Nd Cr
24 4 4 4 4
Direct
0.990 0.222 0.721 O
0.488 0.723 0.783 O
0.786 0.485 0.723 O
0.010 0.222 0.279 O
0.271 0.779 0.513 O
0.786 0.515 0.277 O
0.726 0.015 0.785 O
0.785 0.275 0.988 O
0.010 0.778 0.721 O
0.785 0.725 0.012 O
0.488 0.277 0.217 O
0.729 0.221 0.513 O
0.215 0.275 0.012 O
0.214 0.515 0.723 O
0.274 0.015 0.215 O
0.512 0.723 0.217 O
0.990 0.778 0.279 O
0.729 0.779 0.487 O
0.512 0.277 0.783 O
0.726 0.985 0.215 O
0.215 0.725 0.988 O
0.271 0.221 0.487 O
0.274 0.985 0.785 O
0.214 0.485 0.277 O
0.500 0.000 0.500 Eu
0.000 0.000 0.000 Eu
0.500 0.500 0.000 Eu
0.500 0.500 0.500 Eu
0.251 0.749 0.748 Mn
0.251 0.251 0.252 Mn
0.749 0.749 0.252 Mn
0.749 0.251 0.748 Mn
0.000 0.500 0.000 Nd
0.500 0.000 0.000 Nd
0.000 0.500 0.500 Nd
0.000 0.000 0.500 Nd
0.748 0.749 0.748 Cr
0.252 0.251 0.748 Cr
0.748 0.251 0.252 Cr
0.252 0.749 0.252 Cr
```

=====

BaAlNi4O7 | PBE with a Hubbard U | optimized geometry

```
BaAlNi4O7
1.0
2.996 -5.189 0.000
2.996 5.189 0.000
0.000 0.000 10.134
Ni Al O Ba
8 2 14 2
Direct
0.175 0.825 0.690 Ni
0.000 0.000 0.437 Ni
0.000 0.000 0.937 Ni
0.825 0.175 0.190 Ni
0.825 0.650 0.190 Ni
0.175 0.350 0.690 Ni
0.650 0.825 0.690 Ni
0.350 0.175 0.190 Ni
0.333 0.667 0.372 Al
0.667 0.333 0.872 Al
0.980 0.490 0.775 O
0.490 0.510 0.275 O
0.174 0.826 0.494 O
0.490 0.980 0.275 O
0.510 0.490 0.775 O
0.000 0.000 0.254 O
0.510 0.020 0.775 O
0.652 0.826 0.494 O
0.826 0.652 0.994 O
0.020 0.510 0.275 O
0.826 0.174 0.994 O
0.000 0.000 0.754 O
0.348 0.174 0.994 O
0.174 0.348 0.494 O
0.333 0.667 0.993 Ba
0.667 0.333 0.493 Ba
```

=====

Li9Mn2Co5O16 | PBE with a Hubbard U | optimized geometry

```
Li9Mn2Co5O16
1.0
5.160 0.000 0.000
-1.753 -5.607 0.000
-1.719 0.444 -9.931
Co O Mn Li
5 16 2 9
Direct
0.003 0.746 0.745 Co
0.993 0.744 0.258 Co
0.005 0.253 0.261 Co
0.003 0.502 0.006 Co
0.998 0.995 0.499 Co
0.237 0.302 0.426 O
0.775 0.704 0.577 O
0.224 0.294 0.935 O
0.232 0.559 0.177 O
0.218 0.058 0.693 O
0.212 0.817 0.930 O
0.775 0.186 0.576 O
0.766 0.701 0.053 O
0.778 0.180 0.063 O
0.764 0.448 0.301 O
0.234 0.826 0.435 O
0.773 0.960 0.821 O
0.241 0.540 0.697 O
0.216 0.045 0.175 O
0.793 0.442 0.813 O
0.759 0.939 0.316 O
0.995 0.998 0.999 Mn
0.003 0.253 0.746 Mn
0.498 0.122 0.873 Li
0.507 0.129 0.379 Li
0.501 0.626 0.872 Li
0.494 0.865 0.617 Li
0.495 0.376 0.128 Li
0.503 0.875 0.132 Li
0.498 0.625 0.379 Li
0.001 0.503 0.502 Li
0.505 0.384 0.617 Li
```

## Properties
ΔE to the lowest computed polymorph (eV per atom): 0.0460

=====

MgVC2O6 | PBE with a Hubbard U | optimized geometry

```
MgVC2O6
1.0
-3.292 3.380 0.632
-2.416 -5.585 -0.685
-0.734 1.825 4.333
O C Mg V
6 2 1 1
Direct
0.284 0.743 0.636 O
0.822 0.744 0.285 O
0.138 0.244 0.683 O
0.683 0.245 0.426 O
0.636 0.744 0.823 O
0.426 0.244 0.137 O
0.582 0.747 0.583 C
0.415 0.243 0.415 C
0.826 0.476 0.826 Mg
0.006 0.018 0.006 V
```

=====

MgFe3Ni2SbP6O24 | PBE with a Hubbard U | optimized geometry

```
MgFe3Ni2SbP6O24
1.0
8.463 -0.130 -0.078
4.151 7.529 -0.069
4.163 2.450 7.145
O P Ni Fe Sb Mg
24 6 2 3 1 1
Direct
0.093 0.754 0.929 O
0.815 0.610 0.016 O
0.261 0.060 0.897 O
0.402 0.577 0.744 O
0.563 0.090 0.313 O
0.997 0.814 0.620 O
0.478 0.223 0.584 O
0.738 0.404 0.579 O
0.897 0.255 0.068 O
0.322 0.518 0.091 O
0.761 0.927 0.089 O
0.104 0.297 0.490 O
0.935 0.179 0.411 O
0.579 0.749 0.405 O
0.173 0.408 0.978 O
0.247 0.607 0.433 O
0.899 0.650 0.518 O
0.522 0.883 0.678 O
0.604 0.995 0.843 O
0.678 0.505 0.891 O
0.017 0.916 0.283 O
0.396 0.008 0.197 O
0.602 0.430 0.247 O
0.928 0.088 0.748 O
0.458 0.039 0.751 P
0.561 0.947 0.257 P
0.746 0.455 0.046 P
0.931 0.249 0.547 P
0.043 0.740 0.461 P
0.255 0.548 0.943 P
0.489 0.512 0.502 Ni
0.016 0.003 0.996 Ni
0.153 0.152 0.144 Fe
0.644 0.638 0.646 Fe
0.342 0.363 0.348 Fe
0.858 0.852 0.863 Sb
0.745 0.141 0.360 Mg
```

## Properties
ΔE to the lowest computed polymorph (eV per atom): 0.0000

=====

Li7Mn5O12 | PBE with a Hubbard U | optimized geometry

```
Li7Mn5O12
1.0
-1.771 -0.594 2.440
0.796 -1.884 2.294
11.850 21.707 16.508
Mn O Li
5 12 7
Direct
0.833 0.833 0.667 Mn
0.500 0.500 0.500 Mn
0.830 0.830 0.167 Mn
0.167 0.167 0.333 Mn
0.170 0.170 0.833 Mn
0.180 0.180 0.206 O
0.187 0.187 0.705 O
0.521 0.521 0.372 O
0.164 0.164 0.958 O
0.479 0.479 0.628 O
0.820 0.820 0.794 O
0.145 0.145 0.462 O
0.836 0.836 0.042 O
0.813 0.813 0.295 O
0.490 0.490 0.132 O
0.855 0.855 0.538 O
0.510 0.510 0.868 O
0.499 0.499 0.250 Li
0.833 0.833 0.417 Li
0.848 0.848 0.922 Li
0.167 0.167 0.583 Li
0.500 0.500 0.000 Li
0.152 0.152 0.078 Li
0.501 0.501 0.750 Li
```

## Properties
ΔE to the lowest computed polymorph (eV per atom): 0.1404

=====

Mg6CdCoO8 | PBE with a Hubbard U | optimized geometry

```
Mg6CdCoO8
1.0
-6.376 3.727 4.590
-1.063 -3.879 1.672
2.764 0.665 3.300
O Mg Cd Co
8 6 1 1
Direct
0.500 0.000 0.500 O
0.252 0.000 0.000 O
0.748 0.000 0.000 O
0.000 0.500 0.000 O
0.000 0.000 0.500 O
0.266 0.500 0.500 O
0.500 0.500 0.000 O
0.734 0.500 0.500 O
0.255 0.000 0.500 Mg
0.745 0.500 0.000 Mg
0.500 0.500 0.500 Mg
0.255 0.500 0.000 Mg
0.745 0.000 0.500 Mg
0.500 0.000 0.000 Mg
0.000 0.500 0.500 Cd
0.000 0.000 0.000 Co
```

## Properties
ΔE to the lowest computed polymorph (eV per atom): 0.0130

=====

Li3V5O12 | PBE with a Hubbard U | optimized geometry

```
Li3V5O12
1.0
-1.063 -3.800 -3.128
4.901 1.294 -0.120
0.983 -5.680 7.126
O Li V
12 3 5
Direct
0.472 0.274 0.873 O
0.318 0.813 0.614 O
0.617 0.763 0.137 O
0.083 0.281 0.649 O
0.743 0.917 0.866 O
0.785 0.301 0.121 O
0.237 0.085 0.145 O
0.717 0.556 0.639 O
0.720 0.213 0.389 O
0.898 0.750 0.366 O
0.261 0.433 0.366 O
0.209 0.701 0.899 O
0.673 0.151 0.688 Li
0.853 0.623 0.996 Li
0.078 0.945 0.753 Li
0.566 0.444 0.269 V
0.929 0.065 0.246 V
0.417 0.556 0.741 V
0.512 0.009 0.981 V
0.015 0.537 0.509 V
```

## Properties
ΔE to the lowest computed polymorph (eV per atom): 0.0440

=====

Ni2Hg2SF6 | PBE with a Hubbard U | optimized geometry

```
Ni2Hg2SF6
1.0
-6.266 -2.644 3.582
-6.726 -0.263 -3.712
-3.011 -6.777 -2.022
F Ni S Hg
12 4 2 4
Direct
0.306 0.306 0.694 F
0.944 0.556 0.944 F
0.944 0.944 0.556 F
0.944 0.556 0.556 F
0.556 0.944 0.556 F
0.694 0.306 0.694 F
0.556 0.944 0.944 F
0.306 0.694 0.694 F
0.694 0.306 0.306 F
0.556 0.556 0.944 F
0.306 0.694 0.306 F
0.694 0.694 0.306 F
0.625 0.125 0.625 Ni
0.625 0.625 0.125 Ni
0.625 0.625 0.625 Ni
0.125 0.625 0.625 Ni
0.250 0.250 0.250 S
0.000 0.000 0.000 S
0.125 0.625 0.125 Hg
0.625 0.125 0.125 Hg
0.125 0.125 0.625 Hg
0.125 0.125 0.125 Hg
```

=====

MgTi2Mn2O6 | PBE with a Hubbard U | optimized geometry

```
MgTi2Mn2O6
1.0
-4.119 -0.710 -4.187
-5.308 -2.555 0.596
-5.299 2.630 -0.296
Mn O Ti Mg
2 6 2 1
Direct
0.367 0.367 0.367 Mn
0.634 0.634 0.634 Mn
0.208 0.588 0.951 O
0.588 0.950 0.209 O
0.792 0.412 0.048 O
0.412 0.049 0.792 O
0.048 0.792 0.412 O
0.951 0.208 0.588 O
0.824 0.825 0.824 Ti
0.176 0.175 0.177 Ti
0.000 0.000 0.000 Mg
```

## Properties
ΔE to the lowest computed polymorph (eV per atom): 0.0106

=====

Cr2Fe3P6WO24 | PBE with a Hubbard U | optimized geometry

```
Cr2Fe3P6WO24
1.0
7.530 -4.343 0.000
7.530 4.343 0.000
5.025 0.000 7.093
P O Fe Cr W
6 24 3 2 1
Direct
0.463 0.044 0.745 P
0.044 0.745 0.463 P
0.252 0.547 0.954 P
0.745 0.463 0.044 P
0.954 0.252 0.547 P
0.547 0.954 0.252 P
0.239 0.586 0.440 O
0.940 0.086 0.735 O
0.694 0.492 0.885 O
0.885 0.694 0.492 O
0.586 0.440 0.239 O
0.492 0.885 0.694 O
0.735 0.940 0.086 O
0.064 0.913 0.265 O
0.503 0.114 0.311 O
0.385 0.995 0.190 O
0.440 0.239 0.586 O
0.762 0.414 0.555 O
0.616 0.006 0.809 O
0.414 0.555 0.762 O
0.913 0.265 0.064 O
0.555 0.762 0.414 O
0.086 0.735 0.940 O
0.995 0.190 0.385 O
0.311 0.503 0.114 O
0.190 0.385 0.995 O
0.809 0.616 0.006 O
0.114 0.311 0.503 O
0.265 0.064 0.913 O
0.006 0.809 0.616 O
0.854 0.854 0.854 Fe
0.646 0.646 0.646 Fe
0.354 0.354 0.354 Fe
0.996 0.996 0.996 Cr
0.500 0.500 0.500 Cr
0.144 0.144 0.144 W
```

=====

What did we get for energy relative to the elements? Answer: -54.1; -57.2; -19.2; -22.0; -58.2; -21.8; -84.9; -48.4; -39.8; -48.3; -20.3; -29.6; -85.0 eV per formula unit, in the order shown.
What did we get for M_tot? Answer: 2.00; 16.00; 7.98; 18.00; 12.00; 2.99; 17.00; 21.32; 3.00; 4.00; 8.00; 8.00; 24.00 μB per cell, in the order shown.
What did we get for theoretical density? Answer: 4.2; 4.1; 4.8; 5.4; 4.2; 3.0; 3.6; 3.7; 4.5; 3.6; 6.9; 4.4; 3.7 g/cm³, in the order shown.